No. 1
Ta3AgO8: optimized geometry, GGA-PBE.

```
Ta3AgO8
1.0
-3.511 3.681 5.309
3.511 -3.681 5.309
3.511 3.681 -5.309
O Ta Ag
16 6 2
Cartesian
1.437 1.398 6.852
3.511 3.624 -3.431
0.000 4.554 0.706
3.511 0.057 1.878
3.511 2.807 0.706
3.511 -0.873 4.603
2.074 2.283 -1.543
1.437 2.283 1.543
0.000 3.624 3.431
2.074 1.398 3.765
1.437 5.078 -1.543
2.074 -1.398 6.852
2.074 5.078 1.543
0.000 0.057 8.739
1.437 -1.398 3.765
0.000 0.873 4.603
0.000 1.763 2.830
0.000 5.443 2.478
3.511 1.918 2.478
1.755 0.000 5.309
3.511 -1.763 2.830
1.755 3.681 0.000
1.755 0.000 0.000
5.266 0.000 0.000
```

ΔE to the lowest computed polymorph	20	meV/atom
space-group type	Ibam, No. 72

No. 2
Ta3AgO8: optimized geometry, GGA-PBE.

```
Ta3AgO8
1.0
-1.415 -6.406 -4.371
7.074 -4.275 3.975
-10.478 -6.004 12.192
Ta O Ag
24 64 8
Cartesian
1.131 -6.132 -2.048
2.004 -8.076 0.503
-2.541 -12.415 8.352
-4.684 -10.180 5.795
-6.081 -12.709 9.911
-5.369 -9.487 12.109
-8.225 -10.474 7.353
1.840 -2.924 0.141
-2.292 -8.809 3.011
-5.248 -4.832 5.187
-1.419 -10.754 5.562
6.375 -5.648 2.698
-3.981 -6.997 7.967
-1.833 -9.210 10.539
-0.712 -7.555 7.744
-1.007 -3.543 1.963
5.660 -8.886 0.488
-1.715 -6.744 -0.221
2.135 -6.936 5.922
2.716 -4.854 2.702
1.427 -10.141 3.735
-1.588 -5.626 5.183
-7.517 -7.274 9.537
-5.947 -7.999 3.026
-2.447 -7.979 8.911
-3.063 -9.828 4.605
-1.341 -7.633 11.621
-7.085 -5.635 10.553
2.775 -7.057 -1.091
-6.303 -10.488 6.937
-8.009 -8.850 8.455
-2.330 -6.510 6.869
-5.633 -7.455 9.007
2.234 -1.350 1.255
-6.903 -8.505 11.165
-0.320 -5.974 8.859
-0.975 -5.852 -1.900
-5.683 -11.007 10.863
-0.242 -2.533 0.365
-8.212 -6.104 8.051
0.040 -6.553 6.017
-3.151 -11.163 6.738
-0.910 -4.749 3.513
1.293 -9.102 2.071
-1.106 -9.130 6.630
-9.874 -10.951 8.455
-3.681 -6.305 -0.230
-4.286 -8.588 6.865
-1.078 -3.992 6.199
-4.999 -3.147 6.231
-1.943 -7.245 4.138
6.127 -7.333 1.654
3.793 -8.660 0.974
2.205 -6.488 1.686
2.525 -5.418 7.123
-4.968 -13.680 11.168
-0.210 -8.852 9.357
-4.463 -12.400 8.769
-9.141 -7.632 10.719
-8.920 -9.307 5.866
-4.081 -8.225 2.541
3.457 -3.970 1.016
-3.668 -5.476 9.213
-2.265 -10.848 9.524
-7.615 -11.726 8.968
4.467 -5.613 3.053
0.687 -11.034 5.414
-5.055 -5.850 6.829
-3.339 -4.867 4.832
1.087 -3.926 1.868
-0.892 -11.938 7.251
-0.664 -9.738 3.844
1.369 -7.947 7.520
-3.718 -9.029 11.069
-4.295 -10.633 13.248
6.682 -4.038 3.754
-5.065 -7.896 13.211
1.844 -8.494 4.743
1.448 -4.505 -0.974
-2.973 -3.102 1.955
-1.398 -5.062 0.762
3.070 -3.235 3.747
-5.555 -6.442 4.131
0.376 -7.147 -0.330
2.038 -5.731 4.372
-0.716 -1.986 3.142
-1.581 -7.783 1.443
-5.797 -9.208 4.537
-2.908 -2.455 4.540
-3.121 -12.125 11.672
-5.044 -9.833 8.935
-6.229 -4.358 8.404
0.934 -3.647 5.043
0.193 -6.832 2.842
-4.307 -6.650 11.141
4.036 -8.024 3.345
```

ΔE to the lowest computed polymorph	0	meV/atom
space-group type	Pmmn, No. 59

No. 3
Ta3AgO8: optimized geometry, GGA-PBE.

```
Ta3AgO8
1.0
5.265 0.000 0.000
0.000 7.764 0.000
0.000 4.627 15.155
Ta O Ag
12 32 4
Cartesian
3.886 8.580 8.846
3.870 7.743 12.653
1.394 4.647 2.502
3.901 11.550 12.649
3.996 9.237 5.072
1.364 0.840 2.506
1.238 6.961 10.080
1.379 3.811 6.309
4.011 6.266 1.268
1.269 3.153 10.084
1.253 6.124 13.887
4.027 5.430 5.075
4.788 5.553 12.812
2.128 6.911 11.848
2.935 3.815 10.994
0.777 5.155 9.957
2.409 5.269 0.887
3.137 5.480 3.307
0.396 2.204 5.904
4.868 10.186 9.251
3.409 9.549 12.776
2.155 9.151 9.921
3.109 3.240 5.234
1.855 3.503 8.106
0.227 7.862 13.660
0.778 1.190 0.528
4.488 7.236 5.198
5.038 4.528 1.496
0.303 10.889 11.739
5.042 4.808 6.690
2.405 5.549 6.082
3.410 8.887 7.049
0.477 6.837 2.343
2.330 8.576 4.162
4.962 1.501 3.416
0.223 7.583 8.465
2.236 4.517 13.482
3.029 7.873 1.673
2.855 7.121 14.268
2.859 6.841 9.073
4.760 7.793 10.885
1.856 2.841 2.379
0.505 4.597 4.271
4.487 11.200 14.627
1.366 7.633 6.396
3.899 4.758 8.759
3.998 2.444 1.182
1.266 9.946 13.973
```

ΔE to the lowest computed polymorph	0	meV/atom
space-group type	P2_1/c, No. 14

No. 4
TaAgO3: optimized geometry, GGA-PBE.

```
TaAgO3
1.0
-1.560 -2.199 -2.954
-1.318 -2.662 2.678
-3.438 2.018 0.314
O Ta Ag
3 1 1
Cartesian
-0.780 -1.099 -1.477
-1.719 1.009 0.157
-0.659 -1.331 1.339
0.000 0.000 0.000
-3.158 -1.421 0.019
```

space-group type	Pm-3m, No. 221

No. 5
TmTa5Ag2O15: optimized geometry, GGA-PBE.

```
TmTa5Ag2O15
1.0
12.590 0.000 0.000
0.000 12.590 0.000
0.000 0.000 3.915
Ta O Ag Tm
10 30 4 2
Cartesian
11.600 2.648 0.000
9.942 11.600 0.000
5.305 3.647 0.000
3.647 7.285 0.000
7.285 8.943 0.000
0.990 9.942 0.000
6.295 0.000 0.000
8.943 5.305 0.000
0.000 6.295 0.000
2.648 0.990 0.000
10.240 11.592 1.958
12.577 8.299 0.000
11.879 10.961 0.000
6.295 0.000 1.958
10.961 0.711 0.000
5.584 7.925 0.000
7.293 8.645 1.958
0.711 1.630 0.000
2.004 6.282 0.000
1.630 11.879 0.000
10.586 6.308 0.000
8.299 0.013 0.000
2.350 0.998 1.958
11.592 2.350 1.958
3.945 7.293 1.958
6.282 10.586 0.000
3.464 2.831 0.000
2.831 9.126 0.000
9.126 9.759 0.000
8.645 5.297 1.958
5.297 3.945 1.958
0.013 4.291 0.000
4.291 12.577 0.000
9.759 3.464 0.000
4.665 5.584 0.000
0.998 10.240 1.958
0.000 6.295 1.958
6.308 2.004 0.000
7.006 4.665 0.000
7.925 7.006 0.000
10.427 8.458 1.958
8.458 2.163 1.958
4.132 10.427 1.958
2.163 4.132 1.958
6.295 6.295 1.958
0.000 0.000 1.958
```

space-group type	P4/mbm, No. 127

No. 6
TaZn2AgO6: optimized geometry, GGA-PBE.

```
TaZn2AgO6
1.0
-4.518 6.008 -0.203
-3.439 -2.706 -3.528
-3.638 -2.618 3.513
Ag O Zn Ta
2 12 4 2
Cartesian
-1.720 -1.353 -1.764
-3.979 1.651 -1.866
-8.009 2.622 -1.439
-3.079 1.804 -0.082
-5.531 2.930 0.915
-1.381 -0.455 -0.005
-7.926 1.158 1.770
-6.065 -2.246 -1.133
-6.440 0.536 -1.368
-5.157 0.148 1.150
-3.588 -1.938 1.221
-3.670 -0.474 -1.989
-8.517 -1.120 -0.136
-10.215 1.139 -0.213
-6.999 1.798 0.065
-6.911 1.748 -3.367
-4.685 -1.064 3.149
-4.598 -1.114 -0.283
-4.078 1.695 1.655
-1.819 -1.309 1.756
```

space-group type	P2_1/m, No. 11

No. 7
TcAgO4: optimized geometry, GGA-PBE.

```
TcAgO4
1.0
-2.717 2.717 5.910
2.717 -2.717 5.910
2.717 2.717 -5.910
O Tc Ag
8 2 2
Cartesian
1.454 0.712 1.971
0.712 1.263 4.926
1.263 -0.712 6.894
2.005 1.454 -0.984
3.980 -0.712 1.971
1.454 3.429 0.984
3.429 1.263 3.939
2.005 -1.263 3.939
0.000 0.000 5.910
2.717 0.000 2.955
0.000 0.000 0.000
0.000 2.717 2.955
```

space-group type	I4_1/a, No. 88

No. 8
Ag4TeO5: optimized geometry, GGA-PBE.

```
Ag4TeO5
1.0
-3.795 -7.765 1.738
0.461 -8.315 -2.894
7.215 -5.359 7.265
O Ag Te
20 16 4
Cartesian
2.397 -11.832 0.593
3.387 -8.340 3.933
3.869 -5.235 4.423
2.798 -12.285 3.479
-2.331 -12.299 0.426
0.013 -16.205 1.686
3.375 -18.853 5.585
0.495 -13.100 2.176
5.233 -11.904 5.672
-0.387 -5.639 0.481
1.484 -9.608 5.516
3.025 -14.127 7.468
1.084 -9.154 2.630
4.268 -15.801 5.627
2.373 -15.121 2.865
0.506 -2.587 0.524
6.212 -9.141 5.683
-1.352 -9.536 0.437
0.856 -7.313 -1.359
1.508 -6.319 3.244
3.838 -6.837 2.185
1.723 -4.676 1.251
-1.674 -9.146 3.209
-0.572 -14.197 0.271
2.918 -13.460 5.342
-1.897 -3.883 0.869
4.454 -7.243 5.838
3.420 -9.993 2.037
0.364 -10.916 0.564
0.963 -7.980 0.766
2.158 -16.763 4.858
-2.453 -7.021 0.870
6.334 -14.419 5.239
5.555 -12.293 2.900
0.462 -11.447 4.072
3.518 -10.524 5.545
6.970 -11.068 5.790
1.457 -8.142 4.232
2.424 -13.298 1.877
-3.089 -10.372 0.319
```

space-group type	C2/c, No. 15

| no. | E_form (eV/atom) |
| --- | --- |
| 1 | -2.93 |
| 2 | -2.95 |
| 3 | -2.95 |
| 4 | -2.40 |
| 5 | -2.99 |
| 6 | -1.87 |
| 7 | -1.53 |
| 8 | -0.78 |